#a
Entry from the Materials Project database: an optimized crystal structure of Mg6CrNi (PBE).

abc: 4.823 6.065 10.470
angles: 90.00 90.00 90.00
Atoms (fractional coordinates):
Mg 0.500 0.249 0.083
Mg 0.500 0.751 0.083
Mg 0.000 0.245 0.911
Mg 0.000 0.755 0.911
Mg 0.000 0.500 0.175
Mg 0.000 0.500 0.671
Mg 0.500 0.749 0.583
Mg 0.500 0.251 0.583
Mg 0.000 0.745 0.411
Mg 0.000 0.255 0.411
Mg 0.000 0.000 0.675
Mg 0.000 0.000 0.171
Cr 0.500 0.500 0.833
Cr 0.500 0.000 0.333
Ni 0.500 0.500 0.332
Ni 0.500 0.000 0.832

***

#b
Entry from the Materials Project database: an optimized crystal structure of Mg6CrNi (PBE).

abc: 4.841 6.040 10.462
angles: 90.00 90.00 90.00
Atoms (fractional coordinates):
Mg 0.000 0.742 0.088
Mg 0.000 0.258 0.088
Mg 0.000 0.000 0.333
Mg 0.500 0.264 0.412
Mg 0.500 0.736 0.412
Mg 0.500 0.000 0.166
Mg 0.000 0.242 0.588
Mg 0.000 0.758 0.588
Mg 0.000 0.500 0.833
Mg 0.500 0.764 0.912
Mg 0.500 0.236 0.912
Mg 0.500 0.500 0.666
Cr 0.500 0.500 0.172
Cr 0.500 0.000 0.672
Ni 0.000 0.500 0.330
Ni 0.000 0.000 0.830

***

Bottom line: #a, by a margin of 0.6 kJ/mol of atoms.

***

#a
Entry from the Materials Project database: an optimized crystal structure of MgCr4S8 (PBE).

Symmetry: R3m, No. 160

abc: 6.896 6.894 7.038
angles: 60.67 60.64 59.98
Atoms (fractional coordinates):
Mg 0.000 0.000 0.501
Cr 0.508 0.509 0.500
Cr 0.983 0.509 0.500
Cr 0.497 0.497 0.009
Cr 0.509 0.982 0.500
S 0.269 0.741 0.749
S 0.741 0.741 0.749
S 0.741 0.270 0.749
S 0.749 0.748 0.255
S 0.255 0.255 0.264
S 0.727 0.255 0.263
S 0.267 0.267 0.699
S 0.255 0.727 0.263

***

#b
Entry from the Materials Project database: an optimized crystal structure of MgCr4S8 (PBE).

Symmetry: R-3m, No. 166

abc: 6.980 6.980 6.980
angles: 59.79 59.79 59.79
Atoms (fractional coordinates):
Mg 0.000 0.000 0.000
Cr 0.500 0.500 0.500
Cr 0.000 0.500 0.500
Cr 0.500 0.000 0.500
Cr 0.500 0.500 0.000
S 0.258 0.728 0.258
S 0.728 0.258 0.258
S 0.258 0.258 0.728
S 0.258 0.258 0.258
S 0.742 0.742 0.742
S 0.272 0.742 0.742
S 0.742 0.742 0.272
S 0.742 0.272 0.742

***

Bottom line: #b, by a margin of 0.8 kJ/mol of atoms.

***

#a
Entry from the Materials Project database: an optimized crystal structure of MgCr4S8 (PBE).

Symmetry: P1, No. 1

abc: 8.396 8.352 6.550
angles: 67.86 67.88 45.83
Atoms (fractional coordinates):
Mg 0.380 0.372 0.363
Cr 0.563 0.566 0.430
Cr 0.951 0.417 0.568
Cr 0.566 0.567 0.943
Cr 0.419 0.948 0.568
S 0.288 0.768 0.722
S 0.720 0.725 0.759
S 0.764 0.291 0.722
S 0.719 0.722 0.306
S 0.235 0.232 0.280
S 0.750 0.279 0.233
S 0.244 0.242 0.740
S 0.280 0.748 0.234

***

#b
Entry from the Materials Project database: an optimized crystal structure of MgCr4S8 (PBE).

Symmetry: Cm, No. 8

abc: 7.035 7.032 7.041
angles: 60.07 60.08 60.03
Atoms (fractional coordinates):
Mg 0.125 0.125 0.125
Cr 0.508 0.509 0.507
Cr 0.508 0.508 0.977
Cr 0.976 0.508 0.508
Cr 0.508 0.976 0.508
S 0.744 0.744 0.744
S 0.265 0.265 0.706
S 0.264 0.707 0.265
S 0.707 0.264 0.265
S 0.744 0.267 0.745
S 0.266 0.744 0.745
S 0.264 0.264 0.264
S 0.745 0.745 0.266

***

Bottom line: #b, by a margin of 17.1 kJ/mol of atoms.

***

#a
Entry from the Materials Project database: an optimized crystal structure of MgCr4S8 (PBE).

Symmetry: P1, No. 1

abc: 8.404 8.351 6.545
angles: 67.99 68.04 45.85
Atoms (fractional coordinates):
Mg 0.381 0.371 0.364
Cr 0.563 0.567 0.430
Cr 0.950 0.419 0.568
Cr 0.566 0.566 0.944
Cr 0.419 0.948 0.567
S 0.288 0.768 0.721
S 0.720 0.726 0.760
S 0.764 0.292 0.722
S 0.719 0.722 0.305
S 0.235 0.232 0.280
S 0.750 0.279 0.234
S 0.244 0.242 0.740
S 0.280 0.747 0.235

***

#b
Entry from the Materials Project database: an optimized crystal structure of MgCr4S8 (PBE).

Symmetry: R-3m, No. 166

abc: 7.158 7.158 7.158
angles: 56.94 56.94 56.94
Atoms (fractional coordinates):
Mg 0.500 0.500 0.500
Cr 0.500 0.000 0.500
Cr 0.000 0.500 0.500
Cr 0.500 0.500 0.000
Cr 0.000 0.000 0.000
S 0.759 0.257 0.759
S 0.241 0.241 0.743
S 0.241 0.743 0.241
S 0.743 0.241 0.241
S 0.260 0.260 0.260
S 0.740 0.740 0.740
S 0.257 0.759 0.759
S 0.759 0.759 0.257

***

Bottom line: #b, by a margin of 16.1 kJ/mol of atoms.

***

#a
Entry from the Materials Project database: an optimized crystal structure of MgCr2S4 (PBE).

Symmetry: Cm, No. 8

abc: 3.570 12.701 3.567
angles: 90.27 59.98 90.02
Atoms (fractional coordinates):
Mg 0.337 0.283 0.326
Cr 0.000 0.992 0.000
Cr 0.000 0.521 0.999
S 0.669 0.389 0.661
S 0.667 0.900 0.665
S 0.332 0.099 0.336
S 0.333 0.611 0.334

***

#b
Entry from the Materials Project database: an optimized crystal structure of MgCr2S4 (PBE).

Symmetry: P1, No. 1

abc: 6.073 5.808 6.437
angles: 116.14 117.52 91.34
Atoms (fractional coordinates):
Mg 0.558 0.058 0.114
Cr 0.245 0.745 0.489
Cr 0.993 0.993 0.986
S 0.919 0.868 0.238
S 0.623 0.083 0.763
S 0.320 0.371 0.240
S 0.142 0.682 0.763

***

Bottom line: #a, by a margin of 13.9 kJ/mol of atoms.

***

#a
Entry from the Materials Project database: an optimized crystal structure of MgCr2S4 (PBE).

Symmetry: Fd-3m, No. 227

abc: 7.215 7.215 7.215
angles: 60.00 60.00 60.00
Atoms (fractional coordinates):
Mg 0.750 0.750 0.750
Mg 0.500 0.500 0.500
Cr 0.125 0.625 0.125
Cr 0.125 0.125 0.625
Cr 0.625 0.125 0.125
Cr 0.125 0.125 0.125
S 0.888 0.335 0.888
S 0.362 0.362 0.915
S 0.362 0.362 0.362
S 0.915 0.362 0.362
S 0.888 0.888 0.888
S 0.335 0.888 0.888
S 0.362 0.915 0.362
S 0.888 0.888 0.335

***

#b
Entry from the Materials Project database: an optimized crystal structure of MgCr2S4 (PBE).

Symmetry: C2, No. 5

abc: 5.939 5.283 6.421
angles: 115.96 117.54 90.00
Atoms (fractional coordinates):
Mg 0.510 0.875 0.250
Cr 0.245 0.742 0.521
Cr 0.973 0.008 0.979
S 0.923 0.875 0.250
S 0.603 0.104 0.727
S 0.345 0.375 0.250
S 0.126 0.646 0.773

***

Bottom line: #a, by a margin of 31.5 kJ/mol of atoms.